1.
Ca4Si6Pb6Cl2O21 | PBE-GGA | optimized geometry

**Crystal system**: hexagonal
**MP2020-corrected energy**: -7.1425 eV per atom

a = 10.2725 Å, b = 10.2725 Å, c = 13.4494 Å
α = 90.00°, β = 90.00°, γ = 120.00°
Fractional coordinates of all 78 atoms:
1 Ca 0.3333 0.6667 0.0066
2 Ca 0.3333 0.6667 0.2500
3 Ca 0.3333 0.6667 0.4934
4 Ca 0.3333 0.6667 0.7500
5 Ca 0.6667 0.3333 0.2500
6 Ca 0.6667 0.3333 0.5066
7 Ca 0.6667 0.3333 0.7500
8 Ca 0.6667 0.3333 0.9934
9 Si 0.0253 0.4223 0.6365
10 Si 0.0253 0.4223 0.8635
11 Si 0.3970 0.9747 0.6365
12 Si 0.3970 0.9747 0.8635
13 Si 0.4223 0.3970 0.1365
14 Si 0.4223 0.3970 0.3635
15 Si 0.5777 0.6030 0.6365
16 Si 0.5777 0.6030 0.8635
17 Si 0.6030 0.0253 0.1365
18 Si 0.6030 0.0253 0.3635
19 Si 0.9747 0.5777 0.1365
20 Si 0.9747 0.5777 0.3635
21 Pb 0.0124 0.7447 0.6076
22 Pb 0.0124 0.7447 0.8924
23 Pb 0.2553 0.2677 0.6076
24 Pb 0.2553 0.2677 0.8924
25 Pb 0.2677 0.0124 0.1076
26 Pb 0.2677 0.0124 0.3924
27 Pb 0.7323 0.9876 0.6076
28 Pb 0.7323 0.9876 0.8924
29 Pb 0.7447 0.7323 0.1076
30 Pb 0.7447 0.7323 0.3924
31 Pb 0.9876 0.2553 0.1076
32 Pb 0.9876 0.2553 0.3924
33 Cl 0.0000 0.0000 0.0000
34 Cl 0.0000 0.0000 0.2500
35 Cl 0.0000 0.0000 0.5000
36 Cl 0.0000 0.0000 0.7500
37 O 0.0706 0.3858 0.7500
38 O 0.0732 0.3303 0.5566
39 O 0.0732 0.3303 0.9434
40 O 0.1409 0.6047 0.6212
41 O 0.1409 0.6047 0.8788
42 O 0.1489 0.6238 0.1285
43 O 0.1489 0.6238 0.3715
44 O 0.2571 0.9268 0.5566
45 O 0.2571 0.9268 0.9434
46 O 0.3152 0.9294 0.7500
47 O 0.3303 0.2571 0.0566
48 O 0.3303 0.2571 0.4434
49 O 0.3762 0.5251 0.1285
50 O 0.3762 0.5251 0.3715
51 O 0.3858 0.3152 0.2500
52 O 0.3953 0.5362 0.6212
53 O 0.3953 0.5362 0.8788
54 O 0.4638 0.8591 0.6212
55 O 0.4638 0.8591 0.8788
56 O 0.4749 0.8511 0.1285
57 O 0.4749 0.8511 0.3715
58 O 0.5251 0.1489 0.6285
59 O 0.5251 0.1489 0.8715
60 O 0.5362 0.1409 0.1212
61 O 0.5362 0.1409 0.3788
62 O 0.6047 0.4638 0.1212
63 O 0.6047 0.4638 0.3788
64 O 0.6142 0.6848 0.7500
65 O 0.6238 0.4749 0.6285
66 O 0.6238 0.4749 0.8715
67 O 0.6697 0.7429 0.5566
68 O 0.6697 0.7429 0.9434
69 O 0.6848 0.0706 0.2500
70 O 0.7429 0.0732 0.0566
71 O 0.7429 0.0732 0.4434
72 O 0.8511 0.3762 0.6285
73 O 0.8511 0.3762 0.8715
74 O 0.8591 0.3953 0.1212
75 O 0.8591 0.3953 0.3788
76 O 0.9268 0.6697 0.0566
77 O 0.9268 0.6697 0.4434
78 O 0.9294 0.6142 0.2500



2.
KCa4B22H18ClO46 | PBE-GGA | optimized geometry

**Crystal system**: triclinic
**MP2020-corrected energy**: -7.3248 eV per atom

a = 6.6319 Å, b = 6.6419 Å, c = 24.2510 Å
α = 95.45°, β = 90.71°, γ = 119.40°
Fractional coordinates of all 92 atoms:
1 K 0.0000 0.0000 0.0000
2 Ca 0.2136 0.3877 0.8597
3 Ca 0.3013 0.6490 0.4439
4 Ca 0.5253 0.0175 0.1178
5 Ca 0.8289 0.6964 0.5346
6 B 0.0336 0.9340 0.1343
7 B 0.1470 0.2200 0.2197
8 B 0.1871 0.2922 0.7378
9 B 0.2115 0.3555 0.1264
10 B 0.2561 0.2000 0.5526
11 B 0.3133 0.9801 0.8698
12 B 0.3424 0.6087 0.5665
13 B 0.4121 0.2353 0.4334
14 B 0.4508 0.8677 0.6546
15 B 0.5252 0.0342 0.5658
16 B 0.5675 0.0558 0.2411
17 B 0.6220 0.8825 0.8632
18 B 0.6298 0.6116 0.1073
19 B 0.7031 0.2754 0.8437
20 B 0.7199 0.1372 0.4243
21 B 0.7838 0.4814 0.7586
22 B 0.7982 0.5328 0.4112
23 B 0.8620 0.7061 0.3231
24 B 0.8854 0.7055 0.8527
25 B 0.9426 0.2892 0.5442
26 B 0.9426 0.5201 0.1131
27 B 0.9826 0.9589 0.4121
28 H 0.0205 0.9533 0.7675
29 H 0.0924 0.1410 0.2999
30 H 0.2203 0.3849 0.6615
31 H 0.2525 0.5174 0.3191
32 H 0.3269 0.6033 0.9747
33 H 0.3461 0.6493 0.7438
34 H 0.3830 0.7954 0.3325
35 H 0.3978 0.6886 0.2121
36 H 0.4545 0.4619 0.9641
37 H 0.5436 0.0343 0.7353
38 H 0.6235 0.2287 0.3164
39 H 0.6872 0.3570 0.0003
40 H 0.7035 0.3239 0.6784
41 H 0.7203 0.4046 0.2328
42 H 0.7967 0.4636 0.9458
43 H 0.8385 0.6787 0.6589
44 H 0.9251 0.7943 0.2426
45 H 0.9745 0.9468 0.6475
46 Cl 0.4917 0.9727 0.0033
47 O 0.0168 0.1296 0.5513
48 O 0.0440 0.9916 0.1962
49 O 0.0890 0.9224 0.8782
50 O 0.1011 0.7518 0.1229
51 O 0.1049 0.5158 0.5367
52 O 0.1127 0.1273 0.7737
53 O 0.1577 0.2718 0.2768
54 O 0.1629 0.2438 0.6812
55 O 0.1875 0.1823 0.4339
56 O 0.2004 0.1336 0.1091
57 O 0.2413 0.4039 0.1889
58 O 0.2872 0.5130 0.7661
59 O 0.2975 0.6489 0.3489
60 O 0.3002 0.4497 0.9576
61 O 0.3020 0.0227 0.5500
62 O 0.3267 0.6478 0.6262
63 O 0.3852 0.8144 0.8664
64 O 0.4027 0.5508 0.1030
65 O 0.4166 0.4311 0.5559
66 O 0.4578 0.8807 0.7118
67 O 0.4695 0.2076 0.8644
68 O 0.4816 0.0684 0.4257
69 O 0.4917 0.8558 0.2059
70 O 0.5075 0.8121 0.5412
71 O 0.5589 0.0627 0.6274
72 O 0.5589 0.0667 0.2977
73 O 0.5786 0.4691 0.4412
74 O 0.6529 0.2457 0.2114
75 O 0.6711 0.7095 0.8686
76 O 0.6872 0.2752 0.7819
77 O 0.7039 0.4478 0.1073
78 O 0.7181 0.2363 0.5443
79 O 0.7473 0.5143 0.3516
80 O 0.7478 0.5009 0.9819
81 O 0.7684 0.9635 0.4277
82 O 0.7766 0.4773 0.7014
83 O 0.7782 0.1067 0.8560
84 O 0.7907 0.8450 0.1110
85 O 0.8462 0.6635 0.2661
86 O 0.8738 0.7861 0.6299
87 O 0.8787 0.3654 0.4213
88 O 0.8817 0.4991 0.8704
89 O 0.8884 0.6941 0.7901
90 O 0.9781 0.7604 0.4368
91 O 0.9835 0.9270 0.3506
92 O 0.9885 0.3417 0.1082



3.
ZnBi3O7 | PBE-GGA | optimized geometry

**Crystal system**: orthorhombic
**MP2020-corrected energy**: -5.6905 eV per atom

a = 11.0774 Å, b = 10.8853 Å, c = 5.6925 Å
α = 90.00°, β = 90.00°, γ = 90.00°
Fractional coordinates of all 44 atoms:
1 Zn 0.0834 0.2500 0.1918
2 Zn 0.4166 0.7500 0.6918
3 Zn 0.5834 0.2500 0.3082
4 Zn 0.9166 0.7500 0.8082
5 Bi 0.1353 0.0151 0.6702
6 Bi 0.1353 0.4849 0.6702
7 Bi 0.1446 0.7500 0.2176
8 Bi 0.3554 0.2500 0.7176
9 Bi 0.3647 0.5151 0.1702
10 Bi 0.3647 0.9849 0.1702
11 Bi 0.6353 0.0151 0.8298
12 Bi 0.6353 0.4849 0.8298
13 Bi 0.6446 0.7500 0.2824
14 Bi 0.8554 0.2500 0.7824
15 Bi 0.8647 0.5151 0.3298
16 Bi 0.8647 0.9849 0.3298
17 O 0.0369 0.0991 0.3574
18 O 0.0369 0.4009 0.3574
19 O 0.0407 0.2500 0.8472
20 O 0.2049 0.6141 0.9807
21 O 0.2049 0.8859 0.9807
22 O 0.2276 0.6241 0.4576
23 O 0.2276 0.8759 0.4576
24 O 0.2724 0.1241 0.9576
25 O 0.2724 0.3759 0.9576
26 O 0.2951 0.1141 0.4807
27 O 0.2951 0.3859 0.4807
28 O 0.4593 0.7500 0.3472
29 O 0.4631 0.5991 0.8574
30 O 0.4631 0.9009 0.8574
31 O 0.5369 0.0991 0.1426
32 O 0.5369 0.4009 0.1426
33 O 0.5407 0.2500 0.6528
34 O 0.7049 0.6141 0.5193
35 O 0.7049 0.8859 0.5193
36 O 0.7276 0.6241 0.0424
37 O 0.7276 0.8759 0.0424
38 O 0.7724 0.1241 0.5424
39 O 0.7724 0.3759 0.5424
40 O 0.7951 0.1141 0.0193
41 O 0.7951 0.3859 0.0193
42 O 0.9593 0.7500 0.1528
43 O 0.9631 0.5991 0.6426
44 O 0.9631 0.9009 0.6426



4.
TiS2 | PBE-GGA | optimized geometry

**Crystal system**: hexagonal
**MP2020-corrected energy**: -6.8559 eV per atom

a = 3.3482 Å, b = 3.3482 Å, c = 12.9590 Å
α = 90.00°, β = 90.00°, γ = 120.00°
Fractional coordinates of all 6 atoms:
1 Ti 0.3333 0.6667 0.2500
2 Ti 0.6667 0.3333 0.7500
3 S 0.3333 0.6667 0.6338
4 S 0.3333 0.6667 0.8662
5 S 0.6667 0.3333 0.1338
6 S 0.6667 0.3333 0.3662



5.
Na5Ti2Al2SiP5O24 | PBE-GGA | optimized geometry

**Crystal system**: triclinic
**MP2020-corrected energy**: -7.5859 eV per atom

a = 8.6532 Å, b = 8.6694 Å, c = 21.7617 Å
α = 89.95°, β = 89.95°, γ = 60.10°
Fractional coordinates of all 117 atoms:
1 Na 0.0000 0.0000 0.0000
2 Na 0.0003 0.3533 0.2464
3 Na 0.0003 0.9757 0.4946
4 Na 0.0347 0.2906 0.5765
5 Na 0.3006 0.6583 0.5785
6 Na 0.3344 0.6862 0.9144
7 Na 0.3391 0.3216 0.1582
8 Na 0.3472 0.3220 0.6611
9 Na 0.3674 0.6201 0.2460
10 Na 0.3688 0.9863 0.7451
11 Na 0.6353 0.9923 0.2439
12 Na 0.6668 0.6661 0.3334
13 Na 0.6873 0.6333 0.8287
14 Na 0.6982 0.9534 0.9125
15 Na 0.6991 0.3217 0.4131
16 Ti 0.0018 0.9902 0.3508
17 Ti 0.0093 0.9905 0.8472
18 Ti 0.3333 0.3142 0.0184
19 Ti 0.3361 0.3269 0.8076
20 Ti 0.6671 0.6533 0.6813
21 Ti 0.6684 0.6488 0.1778
22 Al 0.3393 0.3178 0.5129
23 Al 0.3386 0.3196 0.3115
24 Al 0.6682 0.6534 0.9766
25 Al 0.6686 0.6603 0.4744
26 Al 0.9958 0.9844 0.6405
27 Al 0.9972 0.9895 0.1396
28 Si 0.2868 0.6965 0.7404
29 Si 0.3365 0.0278 0.9119
30 Si 0.7098 0.2733 0.2438
31 P 0.0062 0.6998 0.2440
32 P 0.0419 0.6053 0.9134
33 P 0.0491 0.3270 0.4126
34 P 0.2852 0.9928 0.2435
35 P 0.3365 0.6079 0.4136
36 P 0.3704 0.6622 0.0762
37 P 0.3804 0.9476 0.5756
38 P 0.6163 0.0303 0.4120
39 P 0.6264 0.3240 0.9139
40 P 0.6691 0.3600 0.5752
41 P 0.6773 0.9399 0.0768
42 P 0.7182 0.9880 0.7433
43 P 0.9540 0.3611 0.0763
44 P 0.9548 0.6587 0.5751
45 P 0.9993 0.2758 0.7409
46 O 0.0191 0.7950 0.9060
47 O 0.0272 0.1567 0.4083
48 O 0.0305 0.1595 0.6836
49 O 0.0472 0.7798 0.1878
50 O 0.1315 0.4914 0.8551
51 O 0.1355 0.3483 0.3535
52 O 0.1386 0.3510 0.0734
53 O 0.1452 0.4894 0.5707
54 O 0.1589 0.0063 0.9083
55 O 0.1615 0.2993 0.4704
56 O 0.1667 0.0249 0.1875
57 O 0.1677 0.5104 0.2533
58 O 0.1682 0.5251 0.9686
59 O 0.1691 0.7945 0.4070
60 O 0.1710 0.2874 0.7483
61 O 0.1716 0.7907 0.6799
62 O 0.1895 0.8300 0.0854
63 O 0.1896 0.9697 0.5813
64 O 0.2026 0.8211 0.8030
65 O 0.2056 0.9502 0.3012
66 O 0.3044 0.1596 0.2522
67 O 0.3050 0.1589 0.9702
68 O 0.3094 0.5214 0.4713
69 O 0.3108 0.4999 0.7491
70 O 0.3575 0.1357 0.5690
71 O 0.3576 0.4910 0.0734
72 O 0.3695 0.4912 0.3553
73 O 0.3742 0.1149 0.8505
74 O 0.4623 0.6848 0.0191
75 O 0.4716 0.8167 0.5224
76 O 0.4762 0.8270 0.2388
77 O 0.4844 0.6824 0.7375
78 O 0.4893 0.8660 0.6359
79 O 0.4910 0.6317 0.1351
80 O 0.4978 0.3473 0.5698
81 O 0.5042 0.3619 0.8560
82 O 0.5066 0.1276 0.0738
83 O 0.5078 0.6237 0.4194
84 O 0.5104 0.3005 0.2531
85 O 0.5112 0.1118 0.3517
86 O 0.5120 0.8311 0.9192
87 O 0.5268 0.1516 0.7481
88 O 0.5313 0.1574 0.4665
89 O 0.5373 0.2891 0.9693
90 O 0.6327 0.4863 0.6316
91 O 0.6372 0.8445 0.4195
92 O 0.6435 0.4908 0.9203
93 O 0.6464 0.8541 0.1357
94 O 0.6885 0.4744 0.2391
95 O 0.6955 0.8208 0.7380
96 O 0.6959 0.8291 0.0191
97 O 0.7064 0.4436 0.5181
98 O 0.8050 0.1400 0.1872
99 O 0.8062 0.0137 0.4066
100 O 0.8061 0.0172 0.6874
101 O 0.8070 0.1521 0.9063
102 O 0.8230 0.9618 0.8039
103 O 0.8341 0.4621 0.7372
104 O 0.8348 0.4584 0.0215
105 O 0.8355 0.6825 0.2389
106 O 0.8372 0.1912 0.3061
107 O 0.8389 0.1770 0.5848
108 O 0.8388 0.6822 0.5190
109 O 0.8455 0.9547 0.0833
110 O 0.8561 0.6259 0.9198
111 O 0.8568 0.4892 0.4173
112 O 0.8700 0.4750 0.1366
113 O 0.8701 0.6221 0.6327
114 O 0.9685 0.8215 0.3011
115 O 0.9709 0.1887 0.7993
116 O 0.9745 0.1771 0.0840
117 O 0.9769 0.8247 0.5817



6.
K3SmCl6 | PBE-GGA | optimized geometry

**Crystal system**: cubic
**MP2020-corrected energy**: -4.3213 eV per atom

a = 8.0272 Å, b = 8.0272 Å, c = 8.0272 Å
α = 60.00°, β = 60.00°, γ = 60.00°
Fractional coordinates of all 10 atoms:
1 K 0.0000 0.0000 0.0000
2 K 0.2500 0.2500 0.2500
3 K 0.7500 0.7500 0.7500
4 Sm 0.5000 0.5000 0.5000
5 Cl 0.2630 0.2630 0.7370
6 Cl 0.2630 0.7370 0.2630
7 Cl 0.2630 0.7370 0.7370
8 Cl 0.7370 0.2630 0.2630
9 Cl 0.7370 0.2630 0.7370
10 Cl 0.7370 0.7370 0.2630



7.
PrTi2Al20 | PBE-GGA | optimized geometry

**Uncorrected energy**: -4.381 eV per atom
**Crystal system**: cubic

a = 10.4155 Å, b = 10.4155 Å, c = 10.4155 Å
α = 60.00°, β = 60.00°, γ = 60.00°
Fractional coordinates of all 46 atoms:
1 Pr 0.1250 0.1250 0.1250
2 Pr 0.8750 0.8750 0.8750
3 Ti 0.0000 0.5000 0.5000
4 Ti 0.5000 0.0000 0.5000
5 Ti 0.5000 0.5000 0.0000
6 Ti 0.5000 0.5000 0.5000
7 Al 0.0000 0.0000 0.0000
8 Al 0.0000 0.0000 0.5000
9 Al 0.0000 0.5000 0.0000
10 Al 0.0564 0.3259 0.3259
11 Al 0.0564 0.3259 0.7919
12 Al 0.0564 0.7919 0.3259
13 Al 0.2081 0.6741 0.6741
14 Al 0.2081 0.6741 0.9436
15 Al 0.2081 0.9436 0.6741
16 Al 0.2383 0.2383 0.5117
17 Al 0.2383 0.5117 0.2383
18 Al 0.2383 0.5117 0.5117
19 Al 0.3259 0.0564 0.3259
20 Al 0.3259 0.0564 0.7919
21 Al 0.3259 0.3259 0.0564
22 Al 0.3259 0.3259 0.7919
23 Al 0.3259 0.7919 0.0564
24 Al 0.3259 0.7919 0.3259
25 Al 0.4883 0.4883 0.7617
26 Al 0.4883 0.7617 0.4883
27 Al 0.4883 0.7617 0.7617
28 Al 0.5000 0.0000 0.0000
29 Al 0.5117 0.2383 0.2383
30 Al 0.5117 0.2383 0.5117
31 Al 0.5117 0.5117 0.2383
32 Al 0.6741 0.2081 0.6741
33 Al 0.6741 0.2081 0.9436
34 Al 0.6741 0.6741 0.2081
35 Al 0.6741 0.6741 0.9436
36 Al 0.6741 0.9436 0.2081
37 Al 0.6741 0.9436 0.6741
38 Al 0.7617 0.4883 0.4883
39 Al 0.7617 0.4883 0.7617
40 Al 0.7617 0.7617 0.4883
41 Al 0.7919 0.0564 0.3259
42 Al 0.7919 0.3259 0.0564
43 Al 0.7919 0.3259 0.3259
44 Al 0.9436 0.2081 0.6741
45 Al 0.9436 0.6741 0.2081
46 Al 0.9436 0.6741 0.6741



Which formula does entry 4 have?
TiS2